{
  "formula": "YbRh2Pb",
  "functional": "r²SCAN",
  "state": "relaxed",
  "m_tot_mub_per_atom": 0.001,
  "delta_e_f_ev_per_atom": -0.66,
  "cell": [[0.000, 3.311, 3.311], [3.311, 0.000, 3.311], [3.311, 3.311, 0.000]],
  "species": ["Rh", "Rh", "Pb", "Yb"],
  "fractional_positions": [[0.250, 0.250, 0.250], [0.750, 0.750, 0.750], [0.500, 0.500, 0.500], [0.000, 0.000, 0.000]]
}

---

{
  "formula": "PbS",
  "functional": "r²SCAN",
  "state": "relaxed",
  "m_tot_mub_per_atom": 0.000,
  "delta_e_f_ev_per_atom": -0.59,
  "cell": [[4.114, 0.000, 0.000], [-2.057, 3.566, 0.000], [0.000, 0.000, 7.560]],
  "species": ["Pb", "Pb", "S", "S"],
  "fractional_positions": [[0.999, 0.998, 0.487], [0.001, 0.002, 0.987], [0.667, 0.334, 0.192], [0.333, 0.666, 0.692]]
}

---

{
  "formula": "PbS",
  "functional": "r²SCAN",
  "state": "relaxed",
  "m_tot_mub_per_atom": 0.000,
  "delta_e_f_ev_per_atom": -0.58,
  "cell": [[-2.104, 0.246, 3.536], [2.802, -2.968, -0.529], [5.187, 4.402, 2.780]],
  "species": ["Pb", "Pb", "S", "S"],
  "fractional_positions": [[0.000, 0.000, 0.000], [0.000, 0.000, 0.500], [0.666, 0.332, 0.750], [0.334, 0.668, 0.250]]
}

---

{
  "formula": "PbS",
  "functional": "r²SCAN",
  "state": "relaxed",
  "m_tot_mub_per_atom": 0.000,
  "delta_e_f_ev_per_atom": -0.63,
  "cell": [[4.275, 0.000, 0.000], [0.000, 4.225, 0.000], [0.000, 0.000, 12.028]],
  "species": ["Pb", "Pb", "Pb", "Pb", "S", "S", "S", "S"],
  "fractional_positions": [[0.665, 0.750, 0.629], [0.335, 0.250, 0.371], [0.165, 0.250, 0.871], [0.835, 0.750, 0.129], [0.892, 0.750, 0.356], [0.108, 0.250, 0.644], [0.608, 0.750, 0.856], [0.392, 0.250, 0.144]]
}

---

{
  "formula": "PbS",
  "functional": "r²SCAN",
  "state": "relaxed",
  "m_tot_mub_per_atom": 0.000,
  "delta_e_f_ev_per_atom": -0.65,
  "cell": [[-2.108, 1.201, 3.466], [-4.643, -3.394, -1.648], [3.261, -6.519, 4.241]],
  "species": ["Pb", "Pb", "Pb", "Pb", "S", "S", "S", "S"],
  "fractional_positions": [[0.750, 0.750, 0.624], [0.250, 0.250, 0.376], [0.250, 0.250, 0.876], [0.750, 0.750, 0.124], [0.250, 0.751, 0.875], [0.750, 0.251, 0.625], [0.250, 0.749, 0.375], [0.750, 0.249, 0.125]]
}

---

{
  "formula": "PbS",
  "functional": "r²SCAN",
  "state": "relaxed",
  "m_tot_mub_per_atom": 0.000,
  "delta_e_f_ev_per_atom": -0.63,
  "cell": [[-4.160, 0.000, 0.000], [0.000, 0.000, -4.279], [-2.080, -5.991, 0.000]],
  "species": ["Pb", "Pb", "S", "S"],
  "fractional_positions": [[0.131, 0.750, 0.739], [0.869, 0.250, 0.261], [0.645, 0.250, 0.710], [0.355, 0.750, 0.290]]
}

---

{
  "formula": "PbS",
  "functional": "r²SCAN",
  "state": "relaxed",
  "m_tot_mub_per_atom": 0.000,
  "delta_e_f_ev_per_atom": -0.65,
  "cell": [[2.448, 2.948, 1.781], [3.768, -1.062, 1.589], [3.540, 1.258, -1.937]],
  "species": ["Pb", "S"],
  "fractional_positions": [[0.981, 0.981, 0.058], [0.475, 0.475, 0.575]]
}

---

{
  "formula": "PbS",
  "functional": "r²SCAN",
  "state": "relaxed",
  "m_tot_mub_per_atom": 0.000,
  "delta_e_f_ev_per_atom": -0.57,
  "cell": [[2.984, -2.987, 0.000], [2.984, 2.987, 0.000], [0.000, 0.000, 11.275]],
  "species": ["S", "S", "Pb", "Pb"],
  "fractional_positions": [[0.266, 0.234, 0.610], [0.766, 0.734, 0.390], [0.255, 0.245, 0.374], [0.755, 0.745, 0.626]]
}

---

{
  "formula": "PbS",
  "functional": "r²SCAN",
  "state": "relaxed",
  "m_tot_mub_per_atom": 0.000,
  "delta_e_f_ev_per_atom": -0.57,
  "cell": [[-1.345, -2.881, 2.775], [3.522, 0.540, 2.261], [-9.225, 15.157, 13.517]],
  "species": ["Pb", "Pb", "S", "S"],
  "fractional_positions": [[0.267, 0.278, 0.936], [0.722, 0.733, 0.064], [0.216, 0.246, 0.056], [0.754, 0.784, 0.944]]
}

---

{
  "formula": "PbS",
  "functional": "r²SCAN",
  "state": "relaxed",
  "m_tot_mub_per_atom": 0.000,
  "delta_e_f_ev_per_atom": -0.57,
  "cell": [[2.983, 2.984, -0.002], [-2.983, 2.984, -0.002], [0.000, 1.107, 11.167]],
  "species": ["S", "S", "Pb", "Pb"],
  "fractional_positions": [[0.270, 0.270, 0.390], [0.730, 0.730, 0.610], [0.774, 0.774, 0.372], [0.226, 0.226, 0.628]]
}

---

{
  "formula": "PbS",
  "functional": "r²SCAN",
  "state": "relaxed",
  "m_tot_mub_per_atom": 0.000,
  "delta_e_f_ev_per_atom": -0.57,
  "cell": [[2.985, 2.985, -0.002], [-2.985, 2.985, -0.002], [0.000, 1.275, 16.517]],
  "species": ["Pb", "Pb", "S", "S"],
  "fractional_positions": [[0.232, 0.232, 0.086], [0.768, 0.768, 0.914], [0.266, 0.266, 0.925], [0.734, 0.734, 0.075]]
}

---

{
  "formula": "PbS",
  "functional": "r²SCAN",
  "state": "relaxed",
  "m_tot_mub_per_atom": 0.000,
  "delta_e_f_ev_per_atom": -0.57,
  "cell": [[2.984, -2.984, 0.000], [2.984, 2.984, 0.000], [0.000, 0.000, 32.517]],
  "species": ["S", "S", "S", "S", "Pb", "Pb", "Pb", "Pb"],
  "fractional_positions": [[0.838, 0.162, 0.288], [0.338, 0.662, 0.212], [0.162, 0.838, 0.712], [0.662, 0.338, 0.788], [0.663, 0.337, 0.706], [0.837, 0.163, 0.206], [0.337, 0.663, 0.294], [0.163, 0.837, 0.794]]
}

---

{
  "formula": "Sb8Pb3S15",
  "functional": "r²SCAN",
  "state": "relaxed",
  "m_tot_mub_per_atom": 0.000,
  "delta_e_f_ev_per_atom": -0.39,
  "cell": [[-8.071, 0.347, 3.936], [0.627, -7.619, 4.724], [6.048, 8.042, 14.546]],
  "species": ["Sb", "Sb", "Sb", "Sb", "Sb", "Sb", "Sb", "Sb", "Sb", "Sb", "Sb", "Sb", "Sb", "Sb", "Sb", "Sb", "S", "S", "S", "S", "S", "S", "S", "S", "S", "S", "S", "S", "S", "S", "S", "S", "S", "S", "S", "S", "S", "S", "S", "S", "S", "S", "S", "S", "S", "S", "Pb", "Pb", "Pb", "Pb", "Pb", "Pb"],
  "fractional_positions": [[0.236, 0.505, 0.502], [0.394, 0.884, 0.437], [0.141, 0.035, 0.077], [0.859, 0.965, 0.923], [0.223, 0.589, 0.842], [0.495, 0.764, 0.998], [0.777, 0.411, 0.158], [0.606, 0.116, 0.563], [0.411, 0.777, 0.658], [0.965, 0.859, 0.423], [0.884, 0.394, 0.937], [0.589, 0.223, 0.342], [0.116, 0.606, 0.063], [0.505, 0.236, 0.002], [0.035, 0.141, 0.577], [0.764, 0.495, 0.498], [0.802, 0.064, 0.659], [0.410, 0.052, 0.663], [0.105, 0.833, 0.537], [0.553, 0.390, 0.586], [0.390, 0.553, 0.086], [0.692, 0.596, 0.251], [0.596, 0.692, 0.751], [0.447, 0.610, 0.414], [0.055, 0.573, 0.401], [0.291, 0.241, 0.464], [0.184, 0.816, 0.750], [0.052, 0.410, 0.163], [0.936, 0.198, 0.841], [0.945, 0.427, 0.599], [0.895, 0.167, 0.463], [0.590, 0.948, 0.337], [0.816, 0.184, 0.250], [0.759, 0.709, 0.036], [0.833, 0.105, 0.037], [0.241, 0.291, 0.964], [0.308, 0.404, 0.749], [0.064, 0.802, 0.159], [0.709, 0.759, 0.536], [0.610, 0.447, 0.914], [0.404, 0.308, 0.249], [0.167, 0.895, 0.963], [0.198, 0.936, 0.341], [0.573, 0.055, 0.901], [0.427, 0.945, 0.099], [0.948, 0.590, 0.837], [0.622, 0.378, 0.750], [0.263, 0.119, 0.836], [0.119, 0.263, 0.336], [0.881, 0.737, 0.664], [0.737, 0.881, 0.164], [0.378, 0.622, 0.250]]
}

---

{
  "formula": "SiPb2S4",
  "functional": "r²SCAN",
  "state": "relaxed",
  "m_tot_mub_per_atom": 0.000,
  "delta_e_f_ev_per_atom": -0.73,
  "cell": [[-1.601, 6.475, 1.484], [-6.452, -1.507, -0.387], [-5.293, -4.805, 15.253]],
  "species": ["Si", "Si", "Si", "Si", "Pb", "Pb", "Pb", "Pb", "Pb", "Pb", "Pb", "Pb", "S", "S", "S", "S", "S", "S", "S", "S", "S", "S", "S", "S", "S", "S", "S", "S"],
  "fractional_positions": [[0.257, 0.789, 0.398], [0.243, 0.789, 0.898], [0.757, 0.211, 0.102], [0.743, 0.211, 0.602], [0.828, 0.736, 0.790], [0.672, 0.736, 0.290], [0.294, 0.242, 0.979], [0.206, 0.242, 0.479], [0.172, 0.264, 0.210], [0.706, 0.758, 0.021], [0.328, 0.264, 0.710], [0.794, 0.758, 0.521], [0.508, 0.984, 0.376], [0.010, 0.993, 0.361], [0.778, 0.381, 0.472], [0.284, 0.579, 0.325], [0.222, 0.619, 0.528], [0.992, 0.984, 0.876], [0.990, 0.007, 0.639], [0.008, 0.016, 0.124], [0.490, 0.993, 0.861], [0.510, 0.007, 0.139], [0.492, 0.016, 0.624], [0.784, 0.421, 0.175], [0.216, 0.579, 0.825], [0.722, 0.381, 0.972], [0.278, 0.619, 0.028], [0.716, 0.421, 0.675]]
}

---

{
  "formula": "Sr3PbS4",
  "functional": "r²SCAN",
  "state": "relaxed",
  "m_tot_mub_per_atom": 0.000,
  "delta_e_f_ev_per_atom": -1.98,
  "cell": [[4.267, 0.000, 0.000], [0.000, 6.025, 0.000], [0.000, 0.000, 8.540]],
  "species": ["Sr", "Sr", "Sr", "S", "S", "S", "S", "Pb"],
  "fractional_positions": [[0.500, 0.500, 0.248], [0.000, 0.000, 0.500], [0.500, 0.500, 0.752], [0.000, 0.500, 0.500], [0.500, 0.000, 0.252], [0.000, 0.500, 0.000], [0.500, 0.000, 0.748], [0.000, 0.000, 0.000]]
}

---

{
  "formula": "SrPb3S4",
  "functional": "r²SCAN",
  "state": "relaxed",
  "m_tot_mub_per_atom": 0.000,
  "delta_e_f_ev_per_atom": -1.08,
  "cell": [[-8.330, -8.397, 7.614], [-4.879, -10.868, 7.480], [-5.214, -7.847, 10.446]],
  "species": ["Pb", "Pb", "Pb", "S", "S", "S", "S", "Sr"],
  "fractional_positions": [[0.500, 0.500, 0.500], [0.250, 0.250, 0.250], [0.750, 0.750, 0.750], [0.625, 0.625, 0.625], [0.125, 0.125, 0.125], [0.375, 0.375, 0.375], [0.875, 0.875, 0.875], [0.000, 0.000, 0.000]]
}

---

{
  "formula": "ZrTl2PbS4",
  "functional": "r²SCAN",
  "state": "relaxed",
  "m_tot_mub_per_atom": 0.000,
  "delta_e_f_ev_per_atom": -1.05,
  "cell": [[-7.639, -4.064, 1.637], [-1.070, -6.148, 6.214], [-2.767, 3.133, 5.398]],
  "species": ["Pb", "Pb", "S", "S", "S", "S", "S", "S", "S", "S", "Tl", "Tl", "Tl", "Tl", "Zr", "Zr"],
  "fractional_positions": [[0.376, 0.624, 0.250], [0.624, 0.376, 0.750], [0.233, 0.555, 0.964], [0.007, 0.801, 0.502], [0.445, 0.767, 0.536], [0.199, 0.993, 0.998], [0.767, 0.445, 0.036], [0.555, 0.233, 0.464], [0.801, 0.007, 0.002], [0.993, 0.199, 0.498], [0.377, 0.124, 0.235], [0.876, 0.623, 0.265], [0.124, 0.377, 0.735], [0.623, 0.876, 0.765], [0.123, 0.877, 0.750], [0.877, 0.123, 0.250]]
}

---

{
  "formula": "Tm2PbS4",
  "functional": "r²SCAN",
  "state": "relaxed",
  "m_tot_mub_per_atom": 0.000,
  "delta_e_f_ev_per_atom": -1.89,
  "cell": [[3.918, 0.000, 0.000], [0.000, 11.957, 0.000], [0.000, 0.000, 14.183]],
  "species": ["S", "S", "S", "S", "S", "S", "S", "S", "S", "S", "S", "S", "S", "S", "S", "S", "Tm", "Tm", "Tm", "Tm", "Tm", "Tm", "Tm", "Tm", "Pb", "Pb", "Pb", "Pb"],
  "fractional_positions": [[0.250, 0.525, 0.215], [0.250, 0.705, 0.668], [0.750, 0.588, 0.425], [0.750, 0.374, 0.029], [0.250, 0.626, 0.971], [0.250, 0.025, 0.285], [0.750, 0.295, 0.332], [0.750, 0.475, 0.785], [0.750, 0.975, 0.715], [0.250, 0.912, 0.925], [0.250, 0.126, 0.529], [0.250, 0.205, 0.832], [0.250, 0.412, 0.575], [0.750, 0.874, 0.471], [0.750, 0.795, 0.168], [0.750, 0.088, 0.075], [0.250, 0.938, 0.112], [0.250, 0.417, 0.900], [0.750, 0.062, 0.888], [0.250, 0.438, 0.388], [0.750, 0.562, 0.612], [0.250, 0.917, 0.600], [0.750, 0.583, 0.100], [0.750, 0.083, 0.400], [0.750, 0.737, 0.837], [0.250, 0.763, 0.337], [0.750, 0.237, 0.663], [0.250, 0.263, 0.163]]
}

---

{
  "formula": "ZrPbS3",
  "functional": "r²SCAN",
  "state": "relaxed",
  "m_tot_mub_per_atom": 0.000,
  "delta_e_f_ev_per_atom": -1.34,
  "cell": [[-3.429, 0.663, 1.503], [-0.534, -8.793, 2.658], [6.002, 3.331, 12.226]],
  "species": ["Pb", "Pb", "Pb", "Pb", "Zr", "Zr", "Zr", "Zr", "S", "S", "S", "S", "S", "S", "S", "S", "S", "S", "S", "S"],
  "fractional_positions": [[0.750, 0.477, 0.826], [0.250, 0.023, 0.326], [0.750, 0.977, 0.674], [0.250, 0.523, 0.174], [0.750, 0.834, 0.049], [0.250, 0.666, 0.549], [0.750, 0.334, 0.451], [0.250, 0.166, 0.951], [0.750, 0.830, 0.490], [0.750, 0.491, 0.605], [0.750, 0.991, 0.895], [0.750, 0.330, 0.010], [0.250, 0.170, 0.510], [0.250, 0.509, 0.395], [0.750, 0.726, 0.214], [0.250, 0.774, 0.714], [0.250, 0.274, 0.786], [0.750, 0.226, 0.286], [0.250, 0.670, 0.990], [0.250, 0.009, 0.105]]
}

---

{
  "formula": "Sc5Pb3",
  "functional": "r²SCAN",
  "state": "relaxed",
  "m_tot_mub_per_atom": 0.002,
  "delta_e_f_ev_per_atom": -0.59,
  "cell": [[8.522, 0.000, 0.000], [-4.261, 7.380, 0.000], [0.000, 0.000, 6.193]],
  "species": ["Sc", "Sc", "Sc", "Sc", "Sc", "Sc", "Sc", "Sc", "Sc", "Sc", "Pb", "Pb", "Pb", "Pb", "Pb", "Pb"],
  "fractional_positions": [[0.333, 0.667, 0.500], [0.764, 0.764, 0.250], [0.000, 0.764, 0.750], [0.667, 0.333, 0.000], [0.000, 0.236, 0.250], [0.333, 0.667, 0.000], [0.667, 0.333, 0.500], [0.236, 0.236, 0.750], [0.236, 0.000, 0.250], [0.764, 0.000, 0.750], [0.393, 0.393, 0.250], [0.607, 0.000, 0.250], [0.393, 0.000, 0.750], [0.607, 0.607, 0.750], [0.000, 0.393, 0.750], [0.000, 0.607, 0.250]]
}

---

{
  "formula": "Sn2PbSe3",
  "functional": "r²SCAN",
  "state": "relaxed",
  "m_tot_mub_per_atom": 0.000,
  "delta_e_f_ev_per_atom": -0.49,
  "cell": [[2.148, -3.721, 0.000], [2.148, 3.721, 0.000], [0.000, 0.000, 10.527]],
  "species": ["Se", "Se", "Se", "Pb", "Sn", "Sn"],
  "fractional_positions": [[0.667, 0.333, 0.827], [0.333, 0.667, 0.173], [0.000, 0.000, 0.500], [0.000, 0.000, 0.000], [0.667, 0.333, 0.336], [0.333, 0.667, 0.664]]
}